Record 1
Below is crystalline Rb2InGaBr6 at its relaxed geometry, with properties calculated at the PBE level.

Geometry as POSCAR:
```
Rb2InGaBr6
1.0
0.0000 5.6834 5.6834
5.6834 0.0000 5.6834
5.6834 5.6834 0.0000
Rb In Ga Br
2 1 1 6
Direct
0.2500 0.2500 0.2500 Rb
0.7500 0.7500 0.7500 Rb
0.0000 0.0000 0.0000 In
0.5000 0.5000 0.5000 Ga
0.2402 0.2402 0.7598 Br
0.2402 0.7598 0.2402 Br
0.2402 0.7598 0.7598 Br
0.7598 0.2402 0.2402 Br
0.7598 0.2402 0.7598 Br
0.7598 0.7598 0.2402 Br
```

space group = Fm-3m
volume = 36.72 Å³/atom
formation enthalpy at 0 K = -1.490 eV per atom
E = -2.9258 eV/atom


Record 2
Below is crystalline RbMo3Se3 at its relaxed geometry, with properties calculated at the PBE level.

Geometry as POSCAR:
```
RbMo3Se3
1.0
9.4593 0.0000 0.0000
-4.7297 8.1920 0.0000
0.0000 0.0000 4.5371
Rb Mo Se
2 6 6
Direct
0.3333 0.6667 0.2500 Rb
0.6667 0.3333 0.7500 Rb
0.0270 0.8520 0.2500 Mo
0.1480 0.1750 0.2500 Mo
0.1750 0.0270 0.7500 Mo
0.8250 0.9730 0.2500 Mo
0.8520 0.8250 0.7500 Mo
0.9730 0.1480 0.7500 Mo
0.0545 0.7081 0.7500 Se
0.2919 0.3464 0.7500 Se
0.3464 0.0545 0.2500 Se
0.6536 0.9455 0.7500 Se
0.7081 0.6536 0.2500 Se
0.9455 0.2919 0.2500 Se
```

space group = P6_3/m
volume = 25.11 Å³/atom
formation enthalpy at 0 K = -0.918 eV per atom
E = -7.0019 eV/atom


Record 3
Below is crystalline In3S4 at its relaxed geometry, with properties calculated at the PBE level.

Geometry as POSCAR:
```
In3S4
1.0
0.0000 5.5814 5.5814
5.5814 0.0000 5.5814
5.5814 5.5814 0.0000
In S
6 8
Direct
0.0000 0.0000 0.0000 In
0.0000 0.0000 0.5000 In
0.0000 0.5000 0.0000 In
0.3750 0.3750 0.3750 In
0.5000 0.0000 0.0000 In
0.6250 0.6250 0.6250 In
0.2212 0.7596 0.7596 S
0.2404 0.2404 0.2404 S
0.2404 0.2404 0.7788 S
0.2404 0.7788 0.2404 S
0.7596 0.2212 0.7596 S
0.7596 0.7596 0.2212 S
0.7596 0.7596 0.7596 S
0.7788 0.2404 0.2404 S
```

space group = Fd-3m
volume = 24.84 Å³/atom
formation enthalpy at 0 K = -0.766 eV per atom
E = -4.0220 eV/atom


Record 4
Below is crystalline KMg6Cr at its relaxed geometry, with properties calculated at the PBE level.

Geometry as POSCAR:
```
KMg6Cr
1.0
-3.0758 -3.0297 -3.0913
4.9026 -0.4764 -4.4111
3.9084 -9.4404 5.3634
Cr Mg K
2 12 2
Direct
0.5000 0.5000 0.1514 Cr
0.5000 0.0000 0.6514 Cr
0.0000 0.2419 0.5851 Mg
0.5000 0.7361 0.9225 Mg
0.0000 0.0000 0.3343 Mg
0.5000 0.5000 0.6669 Mg
0.5000 0.2639 0.9225 Mg
0.0000 0.7581 0.5851 Mg
0.5000 0.7639 0.4225 Mg
0.0000 0.7419 0.0851 Mg
0.5000 0.2361 0.4225 Mg
0.0000 0.5000 0.8343 Mg
0.5000 0.0000 0.1669 Mg
0.0000 0.2581 0.0851 Mg
0.0000 0.0000 0.8321 K
0.0000 0.5000 0.3321 K
```

energy relative to the lowest polymorph listed for this composition = 0.002 eV/atom
volume = 25.32 Å³/atom
formation enthalpy at 0 K = 0.354 eV per atom
E = -2.1917 eV/atom


Record 5
Below is crystalline Ca2HgBi at its relaxed geometry, with properties calculated at the PBE level.

Geometry as POSCAR:
```
Ca2HgBi
1.0
0.0000 3.8989 3.8989
3.8989 0.0000 3.8989
3.8989 3.8989 0.0000
Ca Hg Bi
2 1 1
Direct
0.2500 0.2500 0.2500 Ca
0.7500 0.7500 0.7500 Ca
0.0000 0.0000 0.0000 Hg
0.5000 0.5000 0.5000 Bi
```

energy relative to the lowest polymorph listed for this composition = 0.000 eV/atom
space group = Fm-3m
volume = 29.64 Å³/atom
formation enthalpy at 0 K = -0.671 eV per atom
E = -2.7220 eV/atom


Record 6
Below is crystalline Sr11Os4O24 at its relaxed geometry, with properties calculated at the PBE level.

Geometry as POSCAR:
```
Sr11Os4O24
1.0
-5.8990 5.8990 8.1564
5.8990 -5.8990 8.1564
5.8990 5.8990 -8.1564
Sr Os O
22 8 48
Direct
0.1377 0.8877 0.2500 Sr
0.1504 0.9324 0.8085 Sr
0.1581 0.3496 0.2821 Sr
0.1777 0.7395 0.4848 Sr
0.1929 0.6777 0.9382 Sr
0.2395 0.2547 0.5618 Sr
0.2453 0.3071 0.9848 Sr
0.3750 0.1250 0.2500 Sr
0.3761 0.6581 0.3085 Sr
0.3877 0.6377 0.7500 Sr
0.4324 0.1239 0.7820 Sr
0.5676 0.8761 0.2180 Sr
0.6123 0.3623 0.2500 Sr
0.6239 0.3419 0.6915 Sr
0.6250 0.8750 0.7500 Sr
0.7547 0.6929 0.0152 Sr
0.7605 0.7453 0.4382 Sr
0.8071 0.3223 0.0618 Sr
0.8223 0.2605 0.5152 Sr
0.8419 0.6504 0.7180 Sr
0.8496 0.0676 0.1915 Sr
0.8623 0.1123 0.7500 Sr
0.0000 0.0000 0.0000 Os
0.0000 0.0000 0.5000 Os
0.0000 0.5000 0.0000 Os
0.0000 0.5000 0.5000 Os
0.5000 0.0000 0.0000 Os
0.5000 0.0000 0.5000 Os
0.5000 0.5000 0.0000 Os
0.5000 0.5000 0.5000 Os
0.0059 0.1627 0.4987 O
0.0072 0.5059 0.3432 O
0.0277 0.3607 0.0439 O
0.0712 0.1037 0.7230 O
0.0970 0.1010 0.2372 O
0.1077 0.8788 0.9958 O
0.1193 0.6519 0.2230 O
0.1393 0.6832 0.6671 O
0.1440 0.1289 0.0389 O
0.1519 0.4288 0.5325 O
0.1640 0.5072 0.0013 O
0.1832 0.0162 0.5439 O
0.3373 0.3360 0.8432 O
0.3598 0.5970 0.4960 O
0.3638 0.8598 0.2628 O
0.3711 0.9100 0.0151 O
0.3788 0.8831 0.7711 O
0.3831 0.1120 0.5042 O
0.3880 0.3923 0.2711 O
0.3950 0.3560 0.4849 O
0.3963 0.6193 0.9675 O
0.3990 0.1362 0.9960 O
0.4100 0.8950 0.5389 O
0.4838 0.5277 0.1671 O
0.5162 0.4723 0.8329 O
0.5900 0.1050 0.4611 O
0.6010 0.8638 0.0040 O
0.6037 0.3807 0.0325 O
0.6050 0.6440 0.5151 O
0.6120 0.6077 0.7289 O
0.6169 0.8880 0.4958 O
0.6212 0.1169 0.2289 O
0.6289 0.0900 0.9849 O
0.6362 0.1402 0.7372 O
0.6402 0.4030 0.5040 O
0.6627 0.6640 0.1568 O
0.8168 0.9838 0.4561 O
0.8360 0.4928 0.9987 O
0.8481 0.5712 0.4675 O
0.8560 0.8711 0.9611 O
0.8607 0.3168 0.3329 O
0.8807 0.3481 0.7770 O
0.8923 0.1212 0.0042 O
0.9030 0.8990 0.7628 O
0.9288 0.8963 0.2770 O
0.9723 0.6393 0.9561 O
0.9928 0.4941 0.6568 O
0.9941 0.8373 0.5013 O
```

space group = I4_1/a
volume = 14.56 Å³/atom
formation enthalpy at 0 K = -2.587 eV per atom
E = -6.8368 eV/atom


Record 7
Below is crystalline BaMg2P2 at its relaxed geometry, with properties calculated at the PBE level.

Geometry as POSCAR:
```
BaMg2P2
1.0
4.3906 0.0000 0.0000
-2.1953 3.8024 0.0000
0.0000 0.0000 7.6205
Ba Mg P
1 2 2
Direct
0.0000 0.0000 0.0000 Ba
0.3333 0.6667 0.3769 Mg
0.6667 0.3333 0.6231 Mg
0.3333 0.6667 0.7232 P
0.6667 0.3333 0.2768 P
```

space group = P-3m1
volume = 25.44 Å³/atom
formation enthalpy at 0 K = -0.931 eV per atom
E = -4.1202 eV/atom


Record 8
Below is crystalline CuAgAs2H3O8 at its relaxed geometry, with properties calculated at the PBE level.

Geometry as POSCAR:
```
CuAgAs2H3O8
1.0
9.3960 0.0000 0.0000
0.0000 7.8707 0.0000
-2.4047 0.0000 9.5709
Cu Ag As H O
4 4 8 12 32
Direct
0.0942 0.1822 0.0045 Cu
0.0942 0.3178 0.5045 Cu
0.9058 0.6822 0.4955 Cu
0.9058 0.8178 0.9955 Cu
0.2672 0.7332 0.5080 Ag
0.2672 0.7668 0.0080 Ag
0.7328 0.2332 0.9920 Ag
0.7328 0.2668 0.4920 Ag
0.0294 0.5066 0.2036 As
0.0294 0.9934 0.7036 As
0.4313 0.1861 0.1744 As
0.4313 0.3139 0.6744 As
0.5687 0.6861 0.3256 As
0.5687 0.8139 0.8256 As
0.9706 0.0066 0.2964 As
0.9706 0.4934 0.7964 As
0.2063 0.0058 0.2663 H
0.2063 0.4942 0.7663 H
0.4339 0.1622 0.4765 H
0.4339 0.3378 0.9765 H
0.4345 0.0575 0.8453 H
0.4345 0.4425 0.3453 H
0.5655 0.5575 0.6547 H
0.5655 0.9425 0.1547 H
0.5661 0.6622 0.0235 H
0.5661 0.8378 0.5235 H
0.7937 0.5058 0.2337 H
0.7937 0.9942 0.7337 H
0.0641 0.6905 0.1222 O
0.0641 0.8095 0.6222 O
0.0760 0.5229 0.3839 O
0.0760 0.9771 0.8839 O
0.1209 0.1635 0.6613 O
0.1209 0.3365 0.1613 O
0.1646 0.5240 0.8480 O
0.1646 0.9760 0.3480 O
0.2762 0.0627 0.1231 O
0.2762 0.4373 0.6231 O
0.4178 0.5730 0.3514 O
0.4178 0.9270 0.8514 O
0.4302 0.1299 0.5754 O
0.4302 0.3701 0.0754 O
0.4669 0.2435 0.8424 O
0.4669 0.2565 0.3424 O
0.5331 0.7435 0.6576 O
0.5331 0.7565 0.1576 O
0.5698 0.6299 0.9246 O
0.5698 0.8701 0.4246 O
0.5822 0.0730 0.1486 O
0.5822 0.4270 0.6486 O
0.7238 0.5627 0.3769 O
0.7238 0.9373 0.8769 O
0.8354 0.0240 0.6520 O
0.8354 0.4760 0.1520 O
0.8791 0.6635 0.8387 O
0.8791 0.8365 0.3387 O
0.9240 0.0229 0.1161 O
0.9240 0.4771 0.6161 O
0.9359 0.1905 0.3778 O
0.9359 0.3095 0.8778 O
```

space group = P2_1/c
volume = 11.80 Å³/atom
formation enthalpy at 0 K = -1.304 eV per atom
E = -5.3385 eV/atom


Record 9
Below is crystalline MgTi2Bi4O10 at its relaxed geometry, with properties calculated at the PBE level.

Geometry as POSCAR:
```
MgTi2Bi4O10
1.0
5.8867 0.0000 0.0000
0.1959 6.1930 0.0000
0.3862 1.7336 8.4587
Mg Ti Bi O
1 2 4 10
Direct
0.0000 0.0000 0.0000 Mg
0.4256 0.5077 0.6243 Ti
0.9254 0.1790 0.6011 Ti
0.0456 0.4700 0.9867 Bi
0.0484 0.7320 0.3528 Bi
0.5220 0.7032 0.0441 Bi
0.5440 0.1335 0.2940 Bi
0.2015 0.3260 0.5833 O
0.2522 0.9343 0.1591 O
0.2766 0.4584 0.1831 O
0.3495 0.7696 0.4933 O
0.4132 0.5210 0.8298 O
0.7061 0.4026 0.5594 O
0.7364 0.4229 0.1644 O
0.7508 0.9186 0.1657 O
0.8809 0.0216 0.7918 O
0.8830 0.0169 0.4460 O
```

energy relative to the lowest polymorph listed for this composition = 0.000 eV/atom
space group = P1
volume = 18.14 Å³/atom
formation enthalpy at 0 K = -2.256 eV per atom
E = -6.7008 eV/atom


Record 10
Below is crystalline CaCu2Ge4O12 at its relaxed geometry, with properties calculated at the PBE level.

Geometry as POSCAR:
```
CaCu2Ge4O12
1.0
5.2902 0.0000 0.0000
0.0000 9.1501 0.0000
-2.5819 0.0000 9.8788
Ca Cu Ge O
2 4 8 24
Direct
0.2335 0.0000 0.2889 Ca
0.7665 0.5000 0.7111 Ca
0.2521 0.5998 0.2332 Cu
0.2598 0.2887 0.7699 Cu
0.7402 0.7887 0.2301 Cu
0.7479 0.0998 0.7668 Cu
0.1117 0.3018 0.0540 Ge
0.1657 0.5958 0.5093 Ge
0.3316 0.2968 0.4865 Ge
0.3904 0.6017 0.9474 Ge
0.6096 0.1017 0.0526 Ge
0.6684 0.7968 0.5135 Ge
0.8343 0.0958 0.4907 Ge
0.8883 0.8018 0.9460 Ge
0.0009 0.1412 0.6691 O
0.0140 0.3178 0.8722 O
0.0337 0.4546 0.1387 O
0.0489 0.6461 0.8928 O
0.0677 0.1824 0.4080 O
0.0981 0.4204 0.5806 O
0.4004 0.4749 0.4322 O
0.4422 0.2494 0.1052 O
0.4486 0.6968 0.5982 O
0.4690 0.4518 0.8548 O
0.4851 0.7605 0.3323 O
0.4875 0.5938 0.1267 O
0.5125 0.0938 0.8733 O
0.5149 0.2605 0.6677 O
0.5310 0.9518 0.1452 O
0.5514 0.1968 0.4018 O
0.5578 0.7494 0.8948 O
0.5996 0.9749 0.5678 O
0.9019 0.9204 0.4194 O
0.9323 0.6824 0.5920 O
0.9511 0.1461 0.1072 O
0.9663 0.9546 0.8613 O
0.9860 0.8178 0.1278 O
0.9991 0.6412 0.3309 O
```

energy relative to the lowest polymorph listed for this composition = 0.013 eV/atom
space group = P2_1
volume = 12.58 Å³/atom
formation enthalpy at 0 K = -1.840 eV per atom
E = -6.0410 eV/atom


Record 11
Below is crystalline SrAg2I4O8 at its relaxed geometry, with properties calculated at the PBE level.

Geometry as POSCAR:
```
SrAg2I4O8
1.0
-3.9440 3.9440 4.9083
3.9440 -3.9440 4.9083
3.9440 3.9440 -4.9083
Sr Ag I O
1 2 4 8
Direct
0.0000 0.0000 0.0000 Sr
0.0000 0.5000 0.5000 Ag
0.5000 0.0000 0.5000 Ag
0.0097 0.9903 0.5000 I
0.4903 0.5097 0.5000 I
0.5097 0.0097 0.0193 I
0.9903 0.4903 0.9807 I
0.1069 0.4165 0.2240 O
0.1172 0.8075 0.2240 O
0.1925 0.8828 0.7760 O
0.4165 0.1925 0.3096 O
0.5835 0.8931 0.7760 O
0.8075 0.5835 0.6904 O
0.8828 0.1069 0.6904 O
0.8931 0.1172 0.3096 O
```

energy relative to the lowest polymorph listed for this composition = 0.011 eV/atom
space group = I422
volume = 20.36 Å³/atom
formation enthalpy at 0 K = -0.942 eV per atom
E = -4.1108 eV/atom


Record 12
Below is crystalline LuGaCu2 at its relaxed geometry, with properties calculated at the PBE level.

Geometry as POSCAR:
```
LuGaCu2
1.0
0.0000 3.1693 3.1693
3.1693 0.0000 3.1693
3.1693 3.1693 0.0000
Lu Ga Cu
1 1 2
Direct
0.0000 0.0000 0.0000 Lu
0.5000 0.5000 0.5000 Ga
0.2500 0.2500 0.2500 Cu
0.7500 0.7500 0.7500 Cu
```

space group = Fm-3m
volume = 15.92 Å³/atom
formation enthalpy at 0 K = -0.355 eV per atom
E = -4.2920 eV/atom


Record 13
Below is crystalline Rb2LiTaF6 at its relaxed geometry, with properties calculated at the PBE level.

Geometry as POSCAR:
```
Rb2LiTaF6
1.0
0.0000 4.2623 4.2623
4.2623 0.0000 4.2623
4.2623 4.2623 0.0000
Rb Li Ta F
2 1 1 6
Direct
0.2500 0.2500 0.2500 Rb
0.7500 0.7500 0.7500 Rb
0.0000 0.0000 0.0000 Li
0.5000 0.5000 0.5000 Ta
0.2527 0.2527 0.7473 F
0.2527 0.7473 0.2527 F
0.2527 0.7473 0.7473 F
0.7473 0.2527 0.2527 F
0.7473 0.2527 0.7473 F
0.7473 0.7473 0.2527 F
```

space group = Fm-3m
volume = 15.49 Å³/atom
formation enthalpy at 0 K = -2.957 eV per atom
E = -5.4017 eV/atom


Record 14
Below is crystalline YTmCd2 at its relaxed geometry, with properties calculated at the PBE level.

Geometry as POSCAR:
```
YTmCd2
1.0
0.0000 3.7321 3.7321
3.7321 0.0000 3.7321
3.7321 3.7321 0.0000
Y Tm Cd
1 1 2
Direct
0.0000 0.0000 0.0000 Y
0.5000 0.5000 0.5000 Tm
0.2500 0.2500 0.2500 Cd
0.7500 0.7500 0.7500 Cd
```

space group = Fm-3m
volume = 25.99 Å³/atom
formation enthalpy at 0 K = -0.327 eV per atom
E = -3.5245 eV/atom


Record 15
Below is crystalline TiMn2 at its relaxed geometry, with properties calculated at the PBE level.

Geometry as POSCAR:
```
TiMn2
1.0
4.7383 0.0000 0.0000
-2.3692 4.1035 0.0000
0.0000 0.0000 7.8080
Ti Mn
4 8
Direct
0.3333 0.6667 0.0629 Ti
0.3333 0.6667 0.4371 Ti
0.6667 0.3333 0.5629 Ti
0.6667 0.3333 0.9371 Ti
0.0000 0.0000 0.0000 Mn
0.0000 0.0000 0.5000 Mn
0.1722 0.3443 0.7500 Mn
0.1722 0.8278 0.7500 Mn
0.3443 0.1722 0.2500 Mn
0.6557 0.8278 0.7500 Mn
0.8278 0.1722 0.2500 Mn
0.8278 0.6557 0.2500 Mn
```

space group = P6_3/mmc
volume = 12.65 Å³/atom
formation enthalpy at 0 K = -0.272 eV per atom
E = -9.0120 eV/atom